(1)
{
  "formula": "Tm2InAu2",
  "functional": "r²SCAN",
  "state": "optimized geometry",
  "cell": [[-1.276, -3.458, 0.124], [-7.276, 2.711, 0.738], [-0.783, 0.010, -7.760]],
  "species": ["Au", "Au", "Au", "Au", "Tm", "Tm", "Tm", "Tm", "In", "In"],
  "frac_coords": [[0.500, 0.630, 0.630], [0.500, 0.130, 0.870], [0.500, 0.370, 0.370], [0.500, 0.870, 0.130], [0.000, 0.831, 0.831], [0.000, 0.169, 0.169], [0.000, 0.331, 0.669], [0.000, 0.669, 0.331], [0.500, 0.000, 0.500], [0.500, 0.500, 0.000]],
  "magmom_total_mub_per_cell": 0.00,
  "density_g_cm3": 12.53,
  "space_group": "No. 127",
  "delta_e_f_ev_per_atom": -0.93
}

(2)
{
  "formula": "UInAu2",
  "functional": "r²SCAN",
  "state": "optimized geometry",
  "cell": [[0.000, 3.523, 3.523], [3.523, 0.000, 3.523], [3.523, 3.523, 0.000]],
  "species": ["U", "In", "Au", "Au"],
  "frac_coords": [[0.500, 0.500, 0.500], [0.000, 0.000, 0.000], [0.250, 0.250, 0.250], [0.750, 0.750, 0.750]],
  "magmom_total_mub_per_cell": 2.74,
  "density_g_cm3": 14.18,
  "space_group": "No. 225",
  "delta_e_f_ev_per_atom": -0.41
}

(3)
{
  "formula": "YbIn2Au",
  "functional": "r²SCAN",
  "state": "optimized geometry",
  "cell": [[-2.012, -0.922, -3.888], [-3.501, -0.742, 4.561], [-2.213, 7.116, -0.542]],
  "species": ["Yb", "Yb", "In", "In", "In", "In", "Au", "Au"],
  "frac_coords": [[0.924, 0.848, 0.250], [0.076, 0.152, 0.750], [0.629, 0.259, 0.047], [0.371, 0.741, 0.547], [0.371, 0.741, 0.953], [0.629, 0.259, 0.453], [0.211, 0.422, 0.250], [0.789, 0.578, 0.750]],
  "magmom_total_mub_per_cell": 0.00,
  "density_g_cm3": 11.14,
  "space_group": "No. 63",
  "delta_e_f_ev_per_atom": -0.56
}

(4)
{
  "formula": "Yb2InAu2",
  "functional": "r²SCAN",
  "state": "optimized geometry",
  "cell": [[-7.414, -2.378, -0.190], [1.835, -6.080, 4.508], [-0.716, 1.995, 2.982]],
  "species": ["Yb", "Yb", "Yb", "Yb", "Au", "Au", "Au", "Au", "In", "In"],
  "frac_coords": [[0.168, 0.332, 0.500], [0.832, 0.668, 0.500], [0.332, 0.832, 0.500], [0.668, 0.168, 0.500], [0.130, 0.630, 0.000], [0.870, 0.370, 0.000], [0.370, 0.130, 0.000], [0.630, 0.870, 0.000], [0.000, 0.000, 0.000], [0.500, 0.500, 0.000]],
  "magmom_total_mub_per_cell": 0.00,
  "density_g_cm3": 12.79,
  "space_group": "No. 127",
  "delta_e_f_ev_per_atom": -0.93
}

(5)
{
  "formula": "Pm2IrAu",
  "functional": "r²SCAN",
  "state": "optimized geometry",
  "cell": [[-1.593, 3.571, 3.222], [-0.779, 4.729, -1.643], [-4.718, 1.812, -0.358]],
  "species": ["Au", "Pm", "Pm", "Ir"],
  "frac_coords": [[0.250, 0.250, 0.250], [0.500, 0.500, 0.500], [0.000, 0.000, 0.000], [0.750, 0.750, 0.750]],
  "magmom_total_mub_per_cell": 0.00,
  "density_g_cm3": 12.26,
  "space_group": "No. 225",
  "delta_e_f_ev_per_atom": -0.82
}

(6)
{
  "formula": "Sm2IrAu",
  "functional": "r²SCAN",
  "state": "optimized geometry",
  "cell": [[0.000, 3.564, 3.564], [3.564, 0.000, 3.564], [3.564, 3.564, 0.000]],
  "species": ["Sm", "Sm", "Au", "Ir"],
  "frac_coords": [[0.750, 0.750, 0.750], [0.250, 0.250, 0.250], [0.500, 0.500, 0.500], [0.000, 0.000, 0.000]],
  "magmom_total_mub_per_cell": 0.00,
  "density_g_cm3": 12.65,
  "space_group": "No. 225",
  "delta_e_f_ev_per_atom": -0.83
}

(7)
{
  "formula": "KAuS2O8",
  "functional": "r²SCAN",
  "state": "optimized geometry",
  "cell": [[-4.484, -2.672, -4.082], [1.161, 1.136, -6.424], [3.176, -7.580, -4.668]],
  "species": ["K", "K", "O", "O", "O", "O", "O", "O", "O", "O", "O", "O", "O", "O", "O", "O", "O", "O", "Au", "Au", "S", "S", "S", "S"],
  "frac_coords": [[0.975, 0.025, 0.250], [0.025, 0.975, 0.750], [0.499, 0.272, 0.218], [0.501, 0.728, 0.782], [0.390, 0.261, 0.496], [0.149, 0.553, 0.321], [0.830, 0.855, 0.584], [0.728, 0.501, 0.282], [0.261, 0.390, 0.996], [0.610, 0.739, 0.504], [0.553, 0.149, 0.821], [0.272, 0.499, 0.718], [0.739, 0.610, 0.004], [0.851, 0.447, 0.679], [0.170, 0.145, 0.416], [0.855, 0.830, 0.084], [0.447, 0.851, 0.179], [0.145, 0.170, 0.916], [0.500, 0.500, 0.500], [0.500, 0.500, 0.000], [0.717, 0.683, 0.638], [0.283, 0.317, 0.362], [0.317, 0.283, 0.862], [0.683, 0.717, 0.138]],
  "magmom_total_mub_per_cell": 0.00,
  "density_g_cm3": 4.27,
  "space_group": "No. 15",
  "delta_e_f_ev_per_atom": -1.34
}

(8)
{
  "formula": "K3PbAu5",
  "functional": "r²SCAN",
  "state": "optimized geometry",
  "cell": [[-0.931, 0.742, -5.621], [6.657, -4.905, -1.757], [-8.726, -5.848, 3.603]],
  "species": ["Pb", "Pb", "Au", "Au", "Au", "Au", "Au", "Au", "Au", "Au", "Au", "Au", "K", "K", "K", "K", "K", "K"],
  "frac_coords": [[0.250, 0.083, 0.500], [0.750, 0.917, 0.500], [0.315, 0.315, 0.130], [0.000, 0.000, 0.000], [0.185, 0.686, 0.870], [0.644, 0.604, 0.287], [0.356, 0.396, 0.713], [0.145, 0.182, 0.287], [0.500, 0.500, 0.000], [0.855, 0.818, 0.713], [0.815, 0.314, 0.130], [0.685, 0.685, 0.870], [0.085, 0.705, 0.169], [0.915, 0.295, 0.831], [0.415, 0.036, 0.831], [0.250, 0.625, 0.500], [0.750, 0.375, 0.500], [0.585, 0.964, 0.169]],
  "magmom_total_mub_per_cell": 0.00,
  "density_g_cm3": 9.08,
  "space_group": "No. 2",
  "delta_e_f_ev_per_atom": -0.37
}

(9)
{
  "formula": "KRbAu2",
  "functional": "r²SCAN",
  "state": "optimized geometry",
  "cell": [[0.000, 4.041, 4.041], [4.041, 0.000, 4.041], [4.041, 4.041, 0.000]],
  "species": ["Au", "Au", "Rb", "K"],
  "frac_coords": [[0.250, 0.250, 0.250], [0.750, 0.750, 0.750], [0.000, 0.000, 0.000], [0.500, 0.500, 0.500]],
  "magmom_total_mub_per_cell": 0.00,
  "density_g_cm3": 6.53,
  "space_group": "No. 225",
  "delta_e_f_ev_per_atom": -0.30
}

(10)
{
  "formula": "K3AuSe13",
  "functional": "r²SCAN",
  "state": "optimized geometry",
  "cell": [[4.979, 0.000, 0.000], [0.000, 13.744, -0.044], [0.000, 1.121, 14.994]],
  "species": ["Se", "Se", "Se", "Se", "Se", "Se", "Se", "Se", "Se", "Se", "Se", "Se", "Se", "Se", "Se", "Se", "Se", "Se", "Se", "Se", "Se", "Se", "Se", "Se", "Se", "Se", "Au", "Au", "K", "K", "K", "K", "K", "K"],
  "frac_coords": [[0.083, 0.035, 0.147], [0.633, 0.577, 0.266], [0.303, 0.951, 0.379], [0.304, 0.734, 0.849], [0.917, 0.965, 0.853], [0.303, 0.549, 0.621], [0.367, 0.077, 0.266], [0.677, 0.418, 0.070], [0.323, 0.918, 0.070], [0.677, 0.082, 0.930], [0.633, 0.923, 0.734], [0.386, 0.750, 0.500], [0.083, 0.465, 0.853], [0.323, 0.582, 0.930], [0.367, 0.423, 0.734], [0.696, 0.266, 0.151], [0.697, 0.049, 0.621], [0.917, 0.535, 0.147], [0.304, 0.766, 0.151], [0.614, 0.250, 0.500], [0.103, 0.658, 0.413], [0.897, 0.342, 0.587], [0.697, 0.451, 0.379], [0.103, 0.842, 0.587], [0.696, 0.234, 0.849], [0.897, 0.158, 0.413], [0.000, 0.500, 0.500], [0.000, 0.000, 0.500], [0.170, 0.250, 0.000], [0.204, 0.338, 0.279], [0.830, 0.750, 0.000], [0.796, 0.838, 0.279], [0.796, 0.662, 0.721], [0.204, 0.162, 0.721]],
  "magmom_total_mub_per_cell": 0.00,
  "density_g_cm3": 4.34,
  "space_group": "No. 13",
  "delta_e_f_ev_per_atom": -0.47
}

(11)
{
  "formula": "KSn6Au4",
  "functional": "r²SCAN",
  "state": "optimized geometry",
  "cell": [[6.358, -11.385, -1.902], [1.386, -12.638, 2.443], [-2.767, -2.894, -5.398]],
  "species": ["Sn", "Sn", "Sn", "Sn", "Sn", "Sn", "Sn", "Sn", "Sn", "Sn", "Sn", "Sn", "Au", "Au", "Au", "Au", "Au", "Au", "Au", "Au", "K", "K"],
  "frac_coords": [[0.117, 0.616, 0.381], [0.634, 0.133, 0.363], [0.353, 0.647, 0.353], [0.133, 0.634, 0.869], [0.616, 0.117, 0.887], [0.603, 0.897, 0.603], [0.887, 0.381, 0.616], [0.897, 0.603, 0.897], [0.381, 0.887, 0.117], [0.363, 0.869, 0.634], [0.647, 0.353, 0.647], [0.869, 0.363, 0.133], [0.057, 0.057, 0.443], [0.193, 0.193, 0.807], [0.687, 0.687, 0.313], [0.807, 0.807, 0.193], [0.443, 0.443, 0.057], [0.313, 0.313, 0.687], [0.563, 0.563, 0.937], [0.937, 0.937, 0.563], [0.000, 0.000, 0.000], [0.250, 0.250, 0.250]],
  "magmom_total_mub_per_cell": 0.00,
  "density_g_cm3": 9.39,
  "space_group": "No. 70",
  "delta_e_f_ev_per_atom": -0.22
}

(12)
{
  "formula": "KSn3Au3",
  "functional": "r²SCAN",
  "state": "optimized geometry",
  "cell": [[-3.321, 2.085, 2.514], [-1.562, -6.774, 3.554], [6.326, 2.039, 6.665]],
  "species": ["Au", "Au", "Au", "Au", "Au", "Au", "Sn", "Sn", "Sn", "Sn", "Sn", "Sn", "K", "K"],
  "frac_coords": [[0.750, 0.037, 0.416], [0.250, 0.963, 0.584], [0.250, 0.250, 0.074], [0.250, 0.537, 0.584], [0.750, 0.463, 0.416], [0.750, 0.750, 0.926], [0.750, 0.047, 0.121], [0.250, 0.547, 0.879], [0.750, 0.750, 0.611], [0.250, 0.953, 0.879], [0.250, 0.250, 0.389], [0.750, 0.453, 0.121], [0.750, 0.250, 0.735], [0.250, 0.750, 0.265]],
  "magmom_total_mub_per_cell": 0.00,
  "density_g_cm3": 9.57,
  "space_group": "No. 59",
  "delta_e_f_ev_per_atom": -0.28
}